Model A:
# LiFeOF

An optimized crystal structure of LiFeOF (PBE with a Hubbard U, the Materials Project database).

Unit cell a=3.023 b=4.435 c=12.028 alpha=90.03 beta=87.70 gamma=90.00
Atoms (fractional coordinates):
Li  0.500  0.748  0.004
O  0.500  0.244  0.004
Fe  0.011  0.246  0.129
O  0.474  0.246  0.755
F  0.007  0.745  0.379
O  0.500  0.242  0.504
Fe  0.989  0.247  0.629
F  0.993  0.745  0.629
Li  0.501  0.749  0.249
Li  0.499  0.749  0.758
Fe  0.010  0.247  0.378
F  0.993  0.746  0.878
F  0.007  0.746  0.129
Fe  0.989  0.246  0.878
Li  0.500  0.749  0.504
O  0.526  0.246  0.253

---

Model B:
# LiFeOF

An optimized crystal structure of LiFeOF (PBE with a Hubbard U, the Materials Project database).

Unit cell a=4.164 b=4.295 c=4.516 alpha=90.03 beta=89.98 gamma=88.78
Atoms (fractional coordinates):
Li  0.258  0.757  0.750
F  0.258  0.258  0.745
Fe  0.758  0.758  0.246
Li  0.758  0.257  0.750
Fe  0.258  0.258  0.246
O  0.758  0.258  0.243
F  0.758  0.758  0.745
O  0.258  0.758  0.243

---

It turns out model B is the most stable, with the second structure 0.9 kJ/mol of atoms higher.

---

Model A:
# Li7FeO5F

An optimized crystal structure of Li7FeO5F (PBE with a Hubbard U, the Materials Project database).

Unit cell a=5.528 b=10.877 c=9.718 alpha=91.30 beta=88.50 gamma=87.35
Atoms (fractional coordinates):
Li  0.487  0.429  0.164
Li  0.848  0.763  0.511
Li  0.805  0.129  0.805
O  0.020  0.171  0.979
O  0.044  0.671  0.001
O  0.998  0.725  0.684
O  0.349  0.931  0.647
O  0.499  0.725  0.184
Li  0.705  0.261  0.997
Li  0.496  0.912  0.175
F  0.473  0.223  0.158
Li  0.176  0.264  0.827
Li  0.853  0.774  0.859
Fe  0.494  0.002  0.506
Fe  0.488  0.503  0.503
O  0.544  0.671  0.501
Li  0.676  0.264  0.327
F  0.998  0.723  0.325
Li  0.005  0.413  0.345
O  0.633  0.460  0.664
Li  0.380  0.130  0.983
O  0.816  0.955  0.510
Li  0.985  0.929  0.326
O  0.203  0.433  0.507
O  0.703  0.433  0.007
F  0.973  0.223  0.658
Li  0.188  0.628  0.808
Li  0.107  0.272  0.154
O  0.316  0.955  0.010
Li  0.688  0.628  0.309
Li  0.505  0.413  0.845
O  0.133  0.460  0.164
O  0.137  0.452  0.838
Li  0.213  0.633  0.187
O  0.849  0.931  0.147
Li  0.987  0.429  0.664
O  0.515  0.226  0.839
F  0.498  0.723  0.825
Fe  0.994  0.002  0.006
O  0.324  0.956  0.354
Li  0.713  0.633  0.687
Li  0.348  0.763  0.011
Li  0.353  0.774  0.359
Fe  0.988  0.503  0.003
Li  0.325  0.758  0.637
O  0.520  0.171  0.479
O  0.824  0.956  0.854
Li  0.607  0.272  0.654
Li  0.205  0.261  0.497
Li  0.485  0.929  0.826
Li  0.825  0.758  0.137
O  0.015  0.226  0.338
O  0.637  0.452  0.338
Li  0.880  0.130  0.483
Li  0.305  0.129  0.305
Li  0.996  0.912  0.675

---

Model B:
# Li7FeO5F

An optimized crystal structure of Li7FeO5F (PBE with a Hubbard U, the Materials Project database).

Unit cell a=5.452 b=5.531 c=5.668 alpha=90.55 beta=117.64 gamma=116.23
Atoms (fractional coordinates):
O  0.103  0.879  0.761
Li  0.164  0.234  0.673
O  0.180  0.807  0.238
Li  0.421  0.927  0.651
Fe  0.947  0.958  0.973
O  0.885  0.084  0.242
Li  0.200  0.474  0.323
F  0.513  0.426  0.280
Li  0.303  0.663  0.964
O  0.499  0.623  0.756
Li  0.593  0.119  0.314
Li  0.734  0.491  0.686
Li  0.874  0.756  0.356
O  0.863  0.217  0.768

---

It turns out model A is the most stable, with the second structure 1.1 kJ/mol of atoms higher.

---

Model A:
# LiFe8O12F4

An optimized crystal structure of LiFe8O12F4 (PBE with a Hubbard U, the Materials Project database).

Unit cell a=5.986 b=6.441 c=7.920 alpha=90.11 beta=112.16 gamma=89.85
Atoms (fractional coordinates):
Fe  0.975  0.999  0.447
Fe  0.748  0.504  0.500
O  0.254  0.807  0.502
Fe  0.240  0.499  0.988
O  0.842  0.000  0.178
Fe  0.781  0.496  0.060
O  0.185  0.996  0.854
Li  0.461  0.737  0.752
O  0.506  0.694  0.000
Fe  0.505  0.008  0.022
O  0.566  0.503  0.650
O  0.999  0.304  0.005
O  0.749  0.810  0.496
O  0.243  0.192  0.488
O  0.506  0.309  0.009
F  0.105  0.507  0.698
F  0.646  0.991  0.801
O  0.995  0.691  0.003
Fe  0.244  0.493  0.478
O  0.752  0.197  0.494
Fe  0.505  0.009  0.498
F  0.353  0.998  0.212
F  0.396  0.503  0.287
O  0.909  0.504  0.325
Fe  0.002  0.998  0.002

---

Model B:
# LiFe8O12F4

An optimized crystal structure of LiFe8O12F4 (PBE with a Hubbard U, the Materials Project database).

Unit cell a=6.043 b=6.333 c=8.182 alpha=90.00 beta=112.59 gamma=90.00
Atoms (fractional coordinates):
Fe  0.518  0.000  0.495
O  0.837  0.000  0.167
O  0.756  0.194  0.480
O  0.993  0.692  0.004
O  0.189  0.000  0.873
Fe  0.977  0.000  0.987
Fe  0.233  0.500  0.978
Fe  0.968  0.000  0.418
F  0.651  0.000  0.784
O  0.922  0.500  0.327
O  0.993  0.308  0.004
O  0.254  0.189  0.505
F  0.342  0.000  0.223
O  0.756  0.806  0.480
O  0.506  0.694  0.016
O  0.254  0.811  0.505
F  0.105  0.500  0.699
Fe  0.747  0.500  0.486
O  0.583  0.500  0.639
O  0.506  0.306  0.016
F  0.394  0.500  0.294
Li  0.321  0.000  0.711
Fe  0.259  0.500  0.493
Fe  0.781  0.500  0.066
Fe  0.499  0.000  0.052

---

Model C:
# LiFe8O12F4

An optimized crystal structure of LiFe8O12F4 (PBE with a Hubbard U, the Materials Project database).

Unit cell a=5.975 b=6.445 c=7.925 alpha=90.07 beta=112.15 gamma=90.00
Atoms (fractional coordinates):
O  0.828  0.996  0.173
F  0.102  0.503  0.698
O  0.248  0.809  0.492
O  0.754  0.190  0.501
Fe  0.973  0.000  0.445
Fe  0.509  0.007  0.526
O  0.998  0.304  0.006
Fe  0.233  0.493  0.974
O  0.242  0.196  0.494
F  0.401  0.502  0.292
Fe  0.755  0.490  0.512
O  0.905  0.504  0.327
O  0.167  0.003  0.844
Li  0.531  0.750  0.250
O  0.500  0.695  0.008
Fe  0.248  0.503  0.491
Fe  0.007  0.997  0.009
F  0.654  0.997  0.802
F  0.358  0.998  0.208
O  0.573  0.497  0.656
Fe  0.493  0.010  0.988
O  0.741  0.805  0.491
O  0.006  0.691  0.008
O  0.503  0.310  0.999
Fe  0.778  0.500  0.055

---

It turns out model A is the most stable, with the second structure 1.6 kJ/mol of atoms higher.

---

Model A:
# Li2FeO2F

An optimized crystal structure of Li2FeO2F (PBE with a Hubbard U, the Materials Project database).

Unit cell a=5.212 b=5.212 c=5.146 alpha=81.07 beta=81.07 gamma=120.69
Atoms (fractional coordinates):
Li  0.673  0.327  0.000
Fe  0.811  0.189  0.500
Li  0.327  0.673  0.000
Fe  0.189  0.811  0.500
O  0.070  0.414  0.733
Li  0.000  0.000  0.000
Li  0.500  0.500  0.500
F  0.238  0.238  0.254
F  0.762  0.762  0.746
O  0.930  0.586  0.267
O  0.586  0.930  0.267
O  0.414  0.070  0.733

---

Model B:
# Li2FeO2F

An optimized crystal structure of Li2FeO2F (PBE with a Hubbard U, the Materials Project database).

Unit cell a=2.967 b=2.967 c=14.491 alpha=90.00 beta=90.00 gamma=60.00
Atoms (fractional coordinates):
Li  0.667  0.667  0.167
F  0.000  0.000  0.248
O  0.667  0.667  0.420
Li  0.667  0.667  0.667
O  0.667  0.667  0.913
O  0.333  0.333  0.576
F  0.333  0.333  0.086
Li  0.000  0.000  0.006
Li  0.333  0.333  0.328
Fe  0.333  0.333  0.835
O  0.000  0.000  0.758
Fe  0.000  0.000  0.498

---

Model C:
# Li2FeO2F

An optimized crystal structure of Li2FeO2F (PBE with a Hubbard U, the Materials Project database).

Unit cell a=5.181 b=5.181 c=9.849 alpha=85.11 beta=94.89 gamma=60.16
Atoms (fractional coordinates):
Fe  0.687  0.125  0.998
O  0.051  0.805  0.117
F  0.695  0.462  0.119
O  0.882  0.605  0.618
Li  0.600  0.600  0.750
O  0.195  0.949  0.617
Li  0.226  0.226  0.750
F  0.305  0.538  0.881
Fe  0.313  0.874  0.002
Fe  0.875  0.313  0.498
O  0.605  0.882  0.882
Li  0.774  0.774  0.250
Li  0.092  0.092  0.250
Li  0.908  0.908  0.750
O  0.805  0.051  0.383
O  0.949  0.195  0.883
Li  0.500  0.000  0.500
F  0.538  0.305  0.619
Fe  0.126  0.687  0.502
F  0.462  0.695  0.381
O  0.118  0.395  0.382
Li  0.400  0.400  0.250
Li  0.000  0.500  0.000
O  0.395  0.118  0.118

---

It turns out model B is the most stable, with the second structure 8.2 kJ/mol of atoms higher.

---

Model A:
# LiFe3O2F6

An optimized crystal structure of LiFe3O2F6 (PBE with a Hubbard U, the Materials Project database).

Unit cell a=3.850 b=8.585 c=9.630 alpha=90.00 beta=90.00 gamma=90.00
Atoms (fractional coordinates):
O  0.000  0.762  0.891
Li  0.500  0.265  0.582
F  0.500  0.927  0.765
O  0.500  0.583  0.793
F  0.500  0.251  0.385
Fe  0.500  0.731  0.948
F  0.000  0.098  0.890
Fe  0.500  0.058  0.238
Li  0.000  0.765  0.418
F  0.000  0.411  0.928
O  0.500  0.262  0.109
F  0.000  0.084  0.605
Fe  0.000  0.558  0.762
Fe  0.000  0.933  0.745
F  0.500  0.584  0.395
Fe  0.000  0.231  0.052
O  0.000  0.083  0.207
F  0.000  0.396  0.626
F  0.000  0.427  0.235
F  0.000  0.751  0.615
F  0.500  0.598  0.110
F  0.500  0.911  0.072
Fe  0.500  0.433  0.255
F  0.500  0.896  0.374

---

Model B:
# LiFe3O2F6

An optimized crystal structure of LiFe3O2F6 (PBE with a Hubbard U, the Materials Project database).

Unit cell a=4.702 b=5.605 c=10.385 alpha=84.39 beta=90.00 gamma=90.00
Atoms (fractional coordinates):
Fe  0.508  0.270  0.747
Fe  0.500  0.500  0.000
F  0.293  0.018  0.317
F  0.801  0.729  0.922
F  0.698  0.227  0.924
Fe  0.992  0.270  0.247
F  0.199  0.271  0.078
F  0.207  0.018  0.817
F  0.793  0.982  0.183
O  0.306  0.517  0.831
Fe  0.000  0.500  0.500
F  0.198  0.773  0.576
O  0.694  0.483  0.169
F  0.302  0.773  0.076
O  0.806  0.483  0.669
F  0.802  0.227  0.424
F  0.301  0.271  0.578
Li  0.000  0.000  0.000
Fe  0.492  0.730  0.253
O  0.194  0.517  0.331
F  0.707  0.982  0.683
Fe  0.008  0.730  0.753
Li  0.500  0.000  0.500
F  0.699  0.729  0.422

---

It turns out model B is the most stable, with the second structure 9.2 kJ/mol of atoms higher.

---

Model A:
# LiFe3O2F6

An optimized crystal structure of LiFe3O2F6 (PBE with a Hubbard U, the Materials Project database).

Unit cell a=5.274 b=5.357 c=6.050 alpha=108.86 beta=88.11 gamma=101.76
Atoms (fractional coordinates):
O  0.374  0.305  0.076
F  0.614  0.722  0.417
Fe  0.247  0.539  0.376
F  0.901  0.245  0.847
O  0.103  0.702  0.165
F  0.328  0.303  0.555
Fe  0.743  0.483  0.127
F  0.896  0.280  0.296
Fe  0.260  0.493  0.878
Li  0.010  0.979  0.995
F  0.637  0.702  0.942
F  0.155  0.734  0.707

Calculated values
Maximum piezoelectric response ... 0.300 C/m2

---

Model B:
# LiFe3O2F6

An optimized crystal structure of LiFe3O2F6 (PBE with a Hubbard U, the Materials Project database).

Unit cell a=5.179 b=7.152 c=7.550 alpha=78.92 beta=89.19 gamma=89.73
Atoms (fractional coordinates):
F  0.423  0.921  0.191
Fe  0.286  0.661  0.179
O  0.885  0.078  0.311
Fe  0.758  0.832  0.324
Fe  0.242  0.168  0.676
F  0.959  0.804  0.092
F  0.904  0.313  0.574
F  0.917  0.572  0.807
Li  0.786  0.839  0.837
F  0.096  0.687  0.426
F  0.592  0.798  0.570
F  0.425  0.686  0.930
Li  0.214  0.161  0.163
O  0.115  0.922  0.689
F  0.083  0.428  0.193
Fe  0.740  0.317  0.320
Fe  0.260  0.683  0.680
F  0.577  0.079  0.809
O  0.404  0.423  0.700
F  0.408  0.202  0.430
F  0.041  0.196  0.908
Fe  0.714  0.339  0.821
F  0.575  0.314  0.070
O  0.596  0.577  0.300

---

It turns out model B is the most stable, with the second structure 3.9 kJ/mol of atoms higher.